Record 1
A geometry-optimized CuH2O2 structure, computed with PBE.

POSCAR file:
```
CuH2O2
1.0
-4.821 1.447 2.040
4.265 -3.359 0.163
2.563 3.429 3.624
Cu H O
2 4 4
Cartesian
-1.245 3.150 4.421
3.258 -1.624 1.414
1.375 0.940 3.164
-0.245 -0.596 1.422
5.207 -0.121 3.211
-3.042 1.850 2.839
2.106 1.338 3.694
-0.135 0.131 2.081
4.568 0.514 3.600
-2.085 1.640 2.899
```

Summary:
ρ (g cm⁻³): 3.723
E (MP2020) (eV per cell): -52.0
Total energy (eV/atom): -4.93

Record 2
A geometry-optimized CuH2O2 structure, computed with PBE.

POSCAR file:
```
CuH2O2
1.0
-4.100 3.234 2.597
1.579 -3.997 -3.943
-0.960 -3.852 3.426
Cu H O
2 4 4
Cartesian
-0.227 -5.497 -0.384
-3.402 1.084 2.113
-2.009 -2.472 1.359
-1.313 -0.820 -0.603
-4.256 -0.494 3.966
0.376 -3.854 -2.528
-2.373 -2.811 2.214
-1.213 -1.752 -0.283
-3.807 -1.354 3.860
-0.020 -3.639 -1.662
```

Summary:
ρ (g cm⁻³): 3.708
E (MP2020) (eV per cell): -51.9
Total energy (eV/atom): -4.92

Record 3
A geometry-optimized CuHO2 structure, computed with PBE.

POSCAR file:
```
CuHO2
1.0
2.789 0.000 0.000
0.000 4.411 0.000
0.000 0.000 5.967
Cu H O
2 2 4
Cartesian
1.394 3.469 4.559
0.000 1.263 1.408
0.000 1.440 4.437
1.394 3.645 1.530
1.394 0.173 2.033
0.000 2.379 3.934
1.394 2.357 0.865
0.000 0.152 5.102
```

Summary:
Piezoelectric modulus e_max (C/m²): 1.750
ρ (g cm⁻³): 4.368
E (MP2020) (eV per cell): -42.7
Total energy (eV/atom): -5.00

Q: The highest total energy belongs to which entry?
A: number 2